10
Lattice="0.0000 6.0701 6.0701 6.0701 0.0000 6.0701 6.0701 6.0701 0.0000" Properties=species:S:1:pos:R:3 comment="Cs3LaCl6 (PBE-GGA, relaxed)" space_group="Fm-3m (225)" density_g_cm3=2.79 polymorph_energy_kj_per_mol_atoms=5.5 e_form_mev_per_atom=-2494 e_tot_ev_per_cell=-39.97 magnetic_moment_mub_per_fu=0.001 pbc="T T T"
Cs 0.0000 0.0000 0.0000
Cs 3.0351 3.0351 3.0351
Cs 9.1052 9.1052 9.1052
La 6.0701 6.0701 6.0701
Cl 6.0701 6.0701 3.2920
Cl 6.0701 3.2920 6.0701
Cl 8.8483 6.0701 6.0701
Cl 3.2920 6.0701 6.0701
Cl 6.0701 8.8483 6.0701
Cl 6.0701 6.0701 8.8483